[1]
This record from the Materials Project database describes an optimized crystal structure of YMg6CO8. The functional is PBE. Values from VASP.

```
&SYSTEM
  ibrav = 0, nat = 16, ntyp = 4
/
ATOMIC_SPECIES
C 12.01 C.upf
O 16.00 O.upf
Mg 24.30 Mg.upf
Y 88.91 Y.upf
ATOMIC_POSITIONS angstrom
C 4.5187 0.0000 0.0000
O 6.8316 0.0000 0.0000
O 0.0000 2.1836 0.0000
O 2.2699 2.1836 2.1836
O 4.5187 2.1836 0.0000
O 2.2059 0.0000 0.0000
O 0.0000 0.0000 2.1836
O 4.5187 0.0000 2.1836
O 6.7676 2.1836 2.1836
Mg 6.5421 2.1836 0.0000
Mg 6.5421 0.0000 2.1836
Mg 2.4954 0.0000 2.1836
Mg 4.5187 2.1836 2.1836
Mg 0.0000 2.1836 2.1836
Mg 2.4954 2.1836 0.0000
Y 0.0000 0.0000 0.0000
CELL_PARAMETERS angstrom
9.0375 0.0000 0.0000
0.0000 4.3673 0.0000
0.0000 0.0000 4.3673
```

## Properties
Energy above the most stable polymorph in this dataset (kJ/mol of atoms): 4.5
Total magnetization (μB/f.u.): 1.00

[2]
This record from the Materials Project database describes an optimized crystal structure of YMg6CO8. The functional is PBE. Values from VASP.

```
&SYSTEM
  ibrav = 0, nat = 16, ntyp = 4
/
ATOMIC_SPECIES
O 16.00 O.upf
Mg 24.30 Mg.upf
Y 88.91 Y.upf
C 12.01 C.upf
ATOMIC_POSITIONS angstrom
O 0.0000 2.1828 0.0000
O 6.5895 0.0000 0.0000
O 2.4180 2.1828 2.1828
O 6.4862 2.1828 2.1828
O 2.3147 0.0000 0.0000
O 4.4521 2.1828 0.0000
O 0.0000 0.0000 2.1828
O 4.4521 0.0000 2.1828
Mg 4.4521 2.1828 2.1828
Mg 6.5710 2.1828 0.0000
Mg 2.3332 0.0000 2.1828
Mg 4.4521 0.0000 0.0000
Mg 2.3332 2.1828 0.0000
Mg 6.5710 0.0000 2.1828
Y 0.0000 0.0000 0.0000
C 0.0000 2.1828 2.1828
CELL_PARAMETERS angstrom
8.9042 0.0000 0.0000
0.0000 4.3655 0.0000
0.0000 0.0000 4.3655
```

## Properties
Energy above the most stable polymorph in this dataset (kJ/mol of atoms): 0.0
Total magnetization (μB/f.u.): 1.00

[3]
This record from the Materials Project database describes an optimized crystal structure of Mg14ZnCO16. The functional is PBE. Values from VASP.

```
&SYSTEM
  ibrav = 0, nat = 32, ntyp = 4
/
ATOMIC_SPECIES
O 16.00 O.upf
Mg 24.30 Mg.upf
C 12.01 C.upf
Zn 65.41 Zn.upf
ATOMIC_POSITIONS angstrom
O 6.4052 6.3829 2.1203
O 0.0000 4.2577 2.1203
O 6.4052 2.1325 2.1203
O 4.2615 6.3807 0.0000
O 0.0000 6.3662 0.0000
O 6.3795 4.2577 0.0000
O 2.1177 2.1325 2.1203
O 0.0000 0.0000 2.1203
O 4.2615 4.2577 2.1203
O 4.2615 0.0000 2.1203
O 2.1177 6.3829 2.1203
O 4.2615 2.1346 0.0000
O 2.1435 4.2577 0.0000
O 2.1555 0.0000 0.0000
O 0.0000 2.1492 0.0000
O 6.3674 0.0000 0.0000
Mg 2.1118 2.1481 0.0000
Mg 4.2615 4.2577 0.0000
Mg 0.0000 2.1600 2.1203
Mg 2.1300 0.0000 2.1203
Mg 6.4227 4.2577 2.1203
Mg 2.1118 6.3672 0.0000
Mg 6.4111 6.3672 0.0000
Mg 2.1003 4.2577 2.1203
Mg 6.4111 2.1481 0.0000
Mg 4.2615 0.0000 0.0000
Mg 4.2615 2.1310 2.1203
Mg 4.2615 6.3843 2.1203
Mg 0.0000 6.3553 2.1203
Mg 6.3930 0.0000 2.1203
C 0.0000 4.2577 0.0000
Zn 0.0000 0.0000 0.0000
CELL_PARAMETERS angstrom
8.5230 0.0000 0.0000
0.0000 8.5153 0.0000
0.0000 0.0000 4.2406
```

## Properties
Energy above the most stable polymorph in this dataset (kJ/mol of atoms): 0.0
Total magnetization (μB/f.u.): 0.00